[1]
## Li6V3P8O29 (PBE+U)

Data for Li6V3P8O29 after structural relaxation.

```
data_Li6V3P8O29
_chemical_formula_sum 'Li12 V6 P16 O58'
_symmetry_space_group_name_H-M 'P 1'
_symmetry_Int_Tables_number 1
_cell_length_a 9.8292
_cell_length_b 9.8315
_cell_length_c 13.8965
_cell_angle_alpha 89.87
_cell_angle_beta 89.78
_cell_angle_gamma 60.10
loop_
_symmetry_equiv_pos_as_xyz
'x,y,z'
loop_
_atom_site_label
_atom_site_type_symbol
_atom_site_fract_x
_atom_site_fract_y
_atom_site_fract_z
Li1 Li 0.0000 0.0000 0.0000
Li2 Li 0.0005 0.9982 0.4992
Li3 Li 0.0088 0.5544 0.9410
Li4 Li 0.0113 0.4204 0.4444
Li5 Li 0.1020 0.6456 0.3213
Li6 Li 0.2391 0.6472 0.8219
Li7 Li 0.4203 0.0114 0.9444
Li8 Li 0.4235 0.5576 0.4429
Li9 Li 0.5546 0.0072 0.4418
Li10 Li 0.5582 0.4276 0.9434
Li11 Li 0.6445 0.1052 0.8212
Li12 Li 0.6470 0.2382 0.3216
V1 V 0.3280 0.9032 0.1373
V2 V 0.3320 0.7658 0.6325
V3 V 0.7598 0.8983 0.6352
V4 V 0.7622 0.3335 0.1355
V5 V 0.8938 0.7627 0.1324
V6 V 0.9002 0.3311 0.6378
P1 P 0.0108 0.5620 0.7241
P2 P 0.0139 0.4146 0.2282
P3 P 0.0994 0.2433 0.0407
P4 P 0.0986 0.6518 0.5395
P5 P 0.2405 0.6514 0.0404
P6 P 0.2427 0.1024 0.5418
P7 P 0.4144 0.0130 0.7280
P8 P 0.4155 0.5643 0.2250
P9 P 0.5605 0.0112 0.2256
P10 P 0.5607 0.4188 0.7257
P11 P 0.6495 0.1018 0.0418
P12 P 0.6513 0.2408 0.5415
P13 P 0.6599 0.6666 0.0093
P14 P 0.6636 0.6626 0.5096
P15 P 0.9942 0.9963 0.2566
P16 P 0.9965 0.9968 0.7567
O1 O 0.0001 0.1407 0.7134
O2 O 0.0756 0.2496 0.5423
O3 O 0.0768 0.6662 0.0388
O4 O 0.0811 0.3342 0.3205
O5 O 0.0829 0.5737 0.4509
O6 O 0.0859 0.5775 0.8144
O7 O 0.0901 0.3393 0.9561
O8 O 0.1193 0.5429 0.6323
O9 O 0.1216 0.3226 0.1377
O10 O 0.1381 0.0005 0.2125
O11 O 0.1459 0.8440 0.7167
O12 O 0.2189 0.9574 0.5564
O13 O 0.2213 0.8160 0.0560
O14 O 0.2470 0.0777 0.0411
O15 O 0.2483 0.6645 0.5384
O16 O 0.3222 0.1242 0.6378
O17 O 0.3262 0.5746 0.3155
O18 O 0.3273 0.5429 0.1328
O19 O 0.3328 0.5724 0.9509
O20 O 0.3360 0.0844 0.8204
O21 O 0.3381 0.0906 0.4561
O22 O 0.4111 0.5803 0.7253
O23 O 0.4149 0.9930 0.2223
O24 O 0.4300 0.7097 0.2059
O25 O 0.4301 0.8510 0.7082
O26 O 0.5106 0.6620 0.5518
O27 O 0.5134 0.8196 0.0501
O28 O 0.5413 0.1216 0.1332
O29 O 0.5423 0.3278 0.6334
O30 O 0.5719 0.0900 0.3153
O31 O 0.5715 0.3305 0.4516
O32 O 0.5733 0.0886 0.9517
O33 O 0.5741 0.3281 0.8162
O34 O 0.5786 0.4136 0.2247
O35 O 0.5801 0.9988 0.7218
O36 O 0.6565 0.5190 0.0498
O37 O 0.6576 0.8146 0.5495
O38 O 0.6590 0.6598 0.4024
O39 O 0.6649 0.2516 0.0423
O40 O 0.6659 0.6670 0.9021
O41 O 0.6679 0.0748 0.5417
O42 O 0.7071 0.4321 0.7056
O43 O 0.7105 0.8521 0.2095
O44 O 0.8128 0.5153 0.5512
O45 O 0.8138 0.6638 0.0516
O46 O 0.8157 0.2208 0.5562
O47 O 0.8160 0.9586 0.0575
O48 O 0.8396 0.1446 0.2198
O49 O 0.8425 0.0010 0.7193
O50 O 0.8523 0.4246 0.2057
O51 O 0.8516 0.7135 0.7055
O52 O 0.9546 0.2203 0.0567
O53 O 0.9564 0.8175 0.5572
O54 O 0.9893 0.4183 0.7232
O55 O 0.9943 0.5805 0.2229
O56 O 0.9935 0.9907 0.3645
O57 O 0.9963 0.9926 0.8649
O58 O 0.9976 0.8434 0.2159
```

Calculated values
ΔH_f (0 K) = -2.659 eV per atom
Symmetry = P1, No. 1
Energy relative to the lowest polymorph listed for this composition = 0.08 kcal/mol of atoms


[2]
## Sr2LaMnCoO7 (PBE+U)

Data for Sr2LaMnCoO7 after structural relaxation.

```
data_Sr2LaMnCoO7
_chemical_formula_sum 'Sr4 La2 Mn2 Co2 O14'
_symmetry_space_group_name_H-M 'P 1'
_symmetry_Int_Tables_number 1
_cell_length_a 3.9305
_cell_length_b 7.7220
_cell_length_c 10.4939
_cell_angle_alpha 100.60
_cell_angle_beta 100.79
_cell_angle_gamma 90.02
loop_
_symmetry_equiv_pos_as_xyz
'x,y,z'
loop_
_atom_site_label
_atom_site_type_symbol
_atom_site_fract_x
_atom_site_fract_y
_atom_site_fract_z
Sr1 Sr 0.0000 0.0000 0.0000
Sr2 Sr 0.0004 0.4990 0.0009
Sr3 Sr 0.8204 0.4056 0.6418
Sr4 Sr 0.8215 0.9142 0.6419
La1 La 0.6347 0.3171 0.2731
La2 La 0.6388 0.8184 0.2738
Mn1 Mn 0.4167 0.2078 0.8335
Mn2 Mn 0.4170 0.7078 0.8339
Co1 Co 0.2231 0.1110 0.4461
Co2 Co 0.2260 0.6123 0.4520
O1 O 0.1189 0.0582 0.2380
O2 O 0.1217 0.5608 0.2435
O3 O 0.2133 0.3517 0.4324
O4 O 0.2191 0.8634 0.4326
O5 O 0.3190 0.6589 0.6380
O6 O 0.3224 0.1607 0.6447
O7 O 0.4157 0.4582 0.8317
O8 O 0.4160 0.9565 0.8317
O9 O 0.5159 0.7566 0.0316
O10 O 0.5167 0.2587 0.0337
O11 O 0.7166 0.1074 0.4333
O12 O 0.7171 0.6085 0.4342
O13 O 0.9151 0.7066 0.8301
O14 O 0.9164 0.2079 0.8328
```

Calculated values
ΔH_f (0 K) = -2.635 eV per atom
Symmetry = P1, No. 1
Energy relative to the lowest polymorph listed for this composition = 0.15 kcal/mol of atoms


[3]
## MnOF (PBE+U)

Data for MnOF after structural relaxation.

```
data_MnOF
_chemical_formula_sum 'Mn8 O8 F8'
_symmetry_space_group_name_H-M 'P 1'
_symmetry_Int_Tables_number 1
_cell_length_a 5.7361
_cell_length_b 6.9164
_cell_length_c 6.9516
_cell_angle_alpha 95.63
_cell_angle_beta 92.06
_cell_angle_gamma 92.79
loop_
_symmetry_equiv_pos_as_xyz
'x,y,z'
loop_
_atom_site_label
_atom_site_type_symbol
_atom_site_fract_x
_atom_site_fract_y
_atom_site_fract_z
Mn1 Mn 0.0000 0.0000 0.0000
Mn2 Mn 0.0022 0.5212 0.5267
Mn3 Mn 0.1938 0.0015 0.5183
Mn4 Mn 0.2036 0.4756 0.0188
Mn5 Mn 0.4931 0.2525 0.2706
Mn6 Mn 0.5089 0.7573 0.7639
Mn7 Mn 0.6469 0.7645 0.2469
Mn8 Mn 0.7448 0.2608 0.7480
O1 O 0.2333 0.2106 0.0677
O2 O 0.2359 0.7338 0.5815
O3 O 0.4424 0.9865 0.3311
O4 O 0.4514 0.5193 0.2128
O5 O 0.7318 0.8131 0.9747
O6 O 0.7463 0.3159 0.4894
O7 O 0.9647 0.0621 0.7299
O8 O 0.9762 0.4606 0.7960
F1 F 0.2263 0.2832 0.4841
F2 F 0.2484 0.7634 0.9756
F3 F 0.4890 0.0562 0.7296
F4 F 0.4968 0.4590 0.7994
F5 F 0.7282 0.7275 0.5414
F6 F 0.7414 0.2286 0.0285
F7 F 0.9485 0.9649 0.2805
F8 F 0.9622 0.5646 0.2512
```

Calculated values
ΔH_f (0 K) = -2.120 eV per atom
Symmetry = P1, No. 1


[4]
## Mn2AsHO5 (PBE+U)

Data for Mn2AsHO5 after structural relaxation.

```
data_Mn2AsHO5
_chemical_formula_sum 'Mn32 As16 H16 O80'
_symmetry_space_group_name_H-M 'P 1'
_symmetry_Int_Tables_number 1
_cell_length_a 10.3872
_cell_length_b 13.8310
_cell_length_c 12.9817
_cell_angle_alpha 90.00
_cell_angle_beta 108.92
_cell_angle_gamma 90.00
loop_
_symmetry_equiv_pos_as_xyz
'x,y,z'
loop_
_atom_site_label
_atom_site_type_symbol
_atom_site_fract_x
_atom_site_fract_y
_atom_site_fract_z
Mn1 Mn 0.0267 0.0696 0.3994
Mn2 Mn 0.0267 0.4304 0.8994
Mn3 Mn 0.0481 0.5735 0.4135
Mn4 Mn 0.0481 0.9265 0.9135
Mn5 Mn 0.2000 0.2335 0.6866
Mn6 Mn 0.2000 0.2665 0.1866
Mn7 Mn 0.2127 0.7495 0.6975
Mn8 Mn 0.2127 0.7505 0.1975
Mn9 Mn 0.2832 0.5064 0.8010
Mn10 Mn 0.2832 0.9936 0.3010
Mn11 Mn 0.3066 0.0205 0.8116
Mn12 Mn 0.3066 0.4795 0.3116
Mn13 Mn 0.4583 0.1798 0.0785
Mn14 Mn 0.4583 0.3202 0.5785
Mn15 Mn 0.4722 0.6754 0.1100
Mn16 Mn 0.4722 0.8246 0.6100
Mn17 Mn 0.5278 0.1754 0.3900
Mn18 Mn 0.5278 0.3246 0.8900
Mn19 Mn 0.5417 0.6798 0.4215
Mn20 Mn 0.5417 0.8202 0.9215
Mn21 Mn 0.6934 0.5205 0.6884
Mn22 Mn 0.6934 0.9795 0.1884
Mn23 Mn 0.7168 0.0064 0.6990
Mn24 Mn 0.7168 0.4936 0.1990
Mn25 Mn 0.7873 0.2495 0.8025
Mn26 Mn 0.7873 0.2505 0.3025
Mn27 Mn 0.8000 0.7335 0.8134
Mn28 Mn 0.8000 0.7665 0.3134
Mn29 Mn 0.9519 0.0735 0.0865
Mn30 Mn 0.9519 0.4265 0.5865
Mn31 Mn 0.9733 0.5696 0.1006
Mn32 Mn 0.9733 0.9304 0.6006
As1 As 0.1165 0.1757 0.9249
As2 As 0.1165 0.3243 0.4249
As3 As 0.1200 0.6778 0.9236
As4 As 0.1200 0.8222 0.4236
As5 As 0.3795 0.5717 0.5748
As6 As 0.3795 0.9283 0.0748
As7 As 0.3861 0.0776 0.5740
As8 As 0.3861 0.4224 0.0740
As9 As 0.6139 0.5776 0.9260
As10 As 0.6139 0.9224 0.4260
As11 As 0.6205 0.0717 0.9252
As12 As 0.6205 0.4283 0.4252
As13 As 0.8800 0.1778 0.5764
As14 As 0.8800 0.3222 0.0764
As15 As 0.8835 0.6757 0.5751
As16 As 0.8835 0.8243 0.0751
H1 H 0.0333 0.5379 0.7424
H2 H 0.0333 0.9621 0.2424
H3 H 0.2317 0.5812 0.1407
H4 H 0.2317 0.9188 0.6408
H5 H 0.2721 0.1586 0.3541
H6 H 0.2721 0.3414 0.8541
H7 H 0.4660 0.7124 0.7611
H8 H 0.4660 0.7876 0.2611
H9 H 0.5340 0.2124 0.7389
H10 H 0.5340 0.2876 0.2389
H11 H 0.7279 0.6586 0.1459
H12 H 0.7279 0.8414 0.6459
H13 H 0.7683 0.0812 0.3592
H14 H 0.7683 0.4188 0.8592
H15 H 0.9667 0.0379 0.7576
H16 H 0.9667 0.4621 0.2576
O1 O 0.0085 0.2281 0.3799
O2 O 0.0085 0.2719 0.8799
O3 O 0.0111 0.7243 0.3801
O4 O 0.0111 0.7757 0.8801
O5 O 0.0165 0.5860 0.9421
O6 O 0.0165 0.9140 0.4421
O7 O 0.0285 0.0801 0.9534
O8 O 0.0285 0.4199 0.4534
O9 O 0.0628 0.0295 0.2471
O10 O 0.0628 0.4705 0.7471
O11 O 0.1791 0.1414 0.8220
O12 O 0.1791 0.3586 0.3220
O13 O 0.1904 0.6520 0.8233
O14 O 0.1904 0.8480 0.3233
O15 O 0.1931 0.5845 0.2000
O16 O 0.1931 0.9155 0.7000
O17 O 0.2454 0.2065 0.0429
O18 O 0.2454 0.2935 0.5429
O19 O 0.2481 0.7043 0.0428
O20 O 0.2481 0.7957 0.5428
O21 O 0.2515 0.0454 0.4614
O22 O 0.2515 0.4546 0.9614
O23 O 0.2618 0.5524 0.4473
O24 O 0.2618 0.9476 0.9473
O25 O 0.2963 0.5966 0.6663
O26 O 0.2963 0.9034 0.1663
O27 O 0.3077 0.1569 0.2930
O28 O 0.3077 0.3431 0.7930
O29 O 0.3327 0.1153 0.6813
O30 O 0.3327 0.3847 0.1813
O31 O 0.4331 0.7211 0.2583
O32 O 0.4331 0.7789 0.7583
O33 O 0.4778 0.1690 0.5404
O34 O 0.4778 0.3310 0.0404
O35 O 0.4836 0.0284 0.1167
O36 O 0.4836 0.4716 0.6167
O37 O 0.4903 0.6632 0.5689
O38 O 0.4903 0.8368 0.0689
O39 O 0.4949 0.5178 0.1230
O40 O 0.4949 0.9822 0.6230
O41 O 0.5051 0.0178 0.3770
O42 O 0.5051 0.4822 0.8770
O43 O 0.5097 0.1632 0.9311
O44 O 0.5097 0.3368 0.4311
O45 O 0.5164 0.5284 0.3833
O46 O 0.5164 0.9716 0.8833
O47 O 0.5222 0.6690 0.9596
O48 O 0.5222 0.8310 0.4596
O49 O 0.5669 0.2211 0.2417
O50 O 0.5669 0.2789 0.7417
O51 O 0.6673 0.6153 0.8187
O52 O 0.6673 0.8847 0.3187
O53 O 0.6923 0.6569 0.2070
O54 O 0.6923 0.8431 0.7070
O55 O 0.7037 0.0966 0.8337
O56 O 0.7037 0.4034 0.3337
O57 O 0.7382 0.0524 0.0527
O58 O 0.7382 0.4476 0.5527
O59 O 0.7485 0.5454 0.0386
O60 O 0.7485 0.9546 0.5386
O61 O 0.7519 0.2043 0.4572
O62 O 0.7519 0.2957 0.9572
O63 O 0.7546 0.7065 0.4571
O64 O 0.7546 0.7935 0.9571
O65 O 0.8069 0.0845 0.3000
O66 O 0.8069 0.4155 0.8000
O67 O 0.8096 0.1520 0.6767
O68 O 0.8096 0.3480 0.1767
O69 O 0.8209 0.6414 0.6780
O70 O 0.8209 0.8586 0.1780
O71 O 0.9372 0.5295 0.2529
O72 O 0.9372 0.9705 0.7529
O73 O 0.9715 0.5801 0.5466
O74 O 0.9715 0.9199 0.0466
O75 O 0.9835 0.0860 0.5579
O76 O 0.9835 0.4140 0.0579
O77 O 0.9889 0.2243 0.1199
O78 O 0.9889 0.2757 0.6199
O79 O 0.9915 0.7281 0.1201
O80 O 0.9915 0.7719 0.6201
```

Calculated values
ΔH_f (0 K) = -1.863 eV per atom
Symmetry = P2_1/c, No. 14
Energy relative to the lowest polymorph listed for this composition = 0.33 kcal/mol of atoms


[5]
## LiVO2F2 (PBE+U)

Data for LiVO2F2 after structural relaxation.

```
data_LiVO2F2
_chemical_formula_sum 'Li2 V2 O4 F4'
_symmetry_space_group_name_H-M 'P 1'
_symmetry_Int_Tables_number 1
_cell_length_a 5.8141
_cell_length_b 3.8948
_cell_length_c 6.9683
_cell_angle_alpha 90.00
_cell_angle_beta 101.98
_cell_angle_gamma 90.00
loop_
_symmetry_equiv_pos_as_xyz
'x,y,z'
loop_
_atom_site_label
_atom_site_type_symbol
_atom_site_fract_x
_atom_site_fract_y
_atom_site_fract_z
Li1 Li 0.1862 0.0000 0.1685
Li2 Li 0.8138 0.5000 0.8315
V1 V 0.3170 0.0530 0.7092
V2 V 0.6830 0.5530 0.2908
O1 O 0.1533 0.0609 0.8800
O2 O 0.3981 0.5591 0.1912
O3 O 0.6019 0.0591 0.8088
O4 O 0.8467 0.5609 0.1200
F1 F 0.1896 0.0570 0.4400
F2 F 0.3130 0.5561 0.6701
F3 F 0.6870 0.0561 0.3299
F4 F 0.8104 0.5570 0.5600
```

Calculated values
ΔH_f (0 K) = -2.632 eV per atom
Symmetry = P2_1, No. 4
Largest piezoelectric modulus = 1.17 C/m²
Energy relative to the lowest polymorph listed for this composition = 1.97 kcal/mol of atoms


[6]
## VP3O9 (PBE+U)

Data for VP3O9 after structural relaxation.

```
data_VP3O9
_chemical_formula_sum 'V4 P12 O36'
_symmetry_space_group_name_H-M 'P 1'
_symmetry_Int_Tables_number 1
_cell_length_a 8.4912
_cell_length_b 8.5580
_cell_length_c 9.0610
_cell_angle_alpha 90.00
_cell_angle_beta 90.00
_cell_angle_gamma 90.00
loop_
_symmetry_equiv_pos_as_xyz
'x,y,z'
loop_
_atom_site_label
_atom_site_type_symbol
_atom_site_fract_x
_atom_site_fract_y
_atom_site_fract_z
V1 V 0.1535 0.1292 0.1111
V2 V 0.3465 0.8708 0.6111
V3 V 0.6535 0.3708 0.8889
V4 V 0.8465 0.6292 0.3889
P1 P 0.0262 0.3159 0.8213
P2 P 0.1891 0.4699 0.3061
P3 P 0.1986 0.8126 0.9249
P4 P 0.3014 0.1874 0.4249
P5 P 0.3109 0.5301 0.8061
P6 P 0.4738 0.6841 0.3213
P7 P 0.5262 0.1841 0.1787
P8 P 0.6891 0.0301 0.6939
P9 P 0.6986 0.6874 0.0751
P10 P 0.8014 0.3126 0.5751
P11 P 0.8109 0.9699 0.1939
P12 P 0.9738 0.8159 0.6787
O1 O 0.0356 0.7658 0.8395
O2 O 0.0796 0.5981 0.3534
O3 O 0.1107 0.8780 0.5906
O4 O 0.1166 0.1847 0.8929
O5 O 0.1416 0.4540 0.7734
O6 O 0.1485 0.3694 0.1757
O7 O 0.1596 0.8840 0.0712
O8 O 0.1945 0.0931 0.3263
O9 O 0.2288 0.3602 0.4489
O10 O 0.2712 0.6398 0.9489
O11 O 0.3055 0.9069 0.8263
O12 O 0.3404 0.1160 0.5712
O13 O 0.3515 0.6306 0.6757
O14 O 0.3584 0.5460 0.2734
O15 O 0.3834 0.8153 0.3929
O16 O 0.3893 0.1220 0.0906
O17 O 0.4204 0.4019 0.8534
O18 O 0.4644 0.2342 0.3395
O19 O 0.5356 0.7342 0.1605
O20 O 0.5796 0.9019 0.6466
O21 O 0.6107 0.6220 0.4094
O22 O 0.6166 0.3153 0.1071
O23 O 0.6416 0.0460 0.2266
O24 O 0.6485 0.1306 0.8243
O25 O 0.6596 0.6160 0.9288
O26 O 0.6945 0.4069 0.6737
O27 O 0.7288 0.1398 0.5511
O28 O 0.7712 0.8602 0.0511
O29 O 0.8055 0.5931 0.1737
O30 O 0.8404 0.3840 0.4288
O31 O 0.8515 0.8694 0.3243
O32 O 0.8584 0.9540 0.7266
O33 O 0.8834 0.6847 0.6071
O34 O 0.8893 0.3780 0.9094
O35 O 0.9204 0.0981 0.1466
O36 O 0.9644 0.2658 0.6605
```

Calculated values
ΔH_f (0 K) = -2.628 eV per atom
Symmetry = P2_12_12_1, No. 19
Energy relative to the lowest polymorph listed for this composition = 0.58 kcal/mol of atoms


[7]
## MgMn4O8 (PBE+U)

Data for MgMn4O8 after structural relaxation.

```
data_MgMn4O8
_chemical_formula_sum 'Mg1 Mn4 O8'
_symmetry_space_group_name_H-M 'P 1'
_symmetry_Int_Tables_number 1
_cell_length_a 5.9523
_cell_length_b 5.9523
_cell_length_c 5.9523
_cell_angle_alpha 121.52
_cell_angle_beta 115.94
_cell_angle_gamma 92.29
loop_
_symmetry_equiv_pos_as_xyz
'x,y,z'
loop_
_atom_site_label
_atom_site_type_symbol
_atom_site_fract_x
_atom_site_fract_y
_atom_site_fract_z
Mg1 Mg 0.0000 0.0000 0.0000
Mn1 Mn 0.3042 0.8042 0.5000
Mn2 Mn 0.3192 0.3192 0.0000
Mn3 Mn 0.7200 0.4634 0.7434
Mn4 Mn 0.7200 0.9766 0.2566
O1 O 0.1589 0.4027 0.2439
O2 O 0.1589 0.9150 0.7561
O3 O 0.4688 0.2121 0.7433
O4 O 0.4688 0.7255 0.2567
O5 O 0.5933 0.2838 0.3096
O6 O 0.6104 0.7978 0.8126
O7 O 0.9742 0.2838 0.6904
O8 O 0.9852 0.7978 0.1874
```

Calculated values
ΔH_f (0 K) = -1.905 eV per atom
Symmetry = Imm2, No. 44
Energy relative to the lowest polymorph listed for this composition = 3.81 kcal/mol of atoms


[8]
## MnOF (PBE+U)

Data for MnOF after structural relaxation.

```
data_MnOF
_chemical_formula_sum 'Mn8 O8 F8'
_symmetry_space_group_name_H-M 'P 1'
_symmetry_Int_Tables_number 1
_cell_length_a 4.6333
_cell_length_b 4.6333
_cell_length_c 12.6785
_cell_angle_alpha 90.03
_cell_angle_beta 90.03
_cell_angle_gamma 90.18
loop_
_symmetry_equiv_pos_as_xyz
'x,y,z'
loop_
_atom_site_label
_atom_site_type_symbol
_atom_site_fract_x
_atom_site_fract_y
_atom_site_fract_z
Mn1 Mn 0.0000 0.0000 0.0000
Mn2 Mn 0.0031 0.9940 0.2508
Mn3 Mn 0.0060 0.9969 0.7492
Mn4 Mn 0.4384 0.5037 0.8746
Mn5 Mn 0.4513 0.4910 0.3756
Mn6 Mn 0.4963 0.5616 0.1254
Mn7 Mn 0.5090 0.5487 0.6244
Mn8 Mn 0.9529 0.0471 0.5000
O1 O 0.1531 0.1995 0.3749
O2 O 0.1747 0.1874 0.8753
O3 O 0.2953 0.7047 0.0000
O4 O 0.2976 0.7015 0.2533
O5 O 0.2985 0.7024 0.7467
O6 O 0.6588 0.3412 0.5000
O7 O 0.8005 0.8469 0.6251
O8 O 0.8126 0.8253 0.1247
F1 F 0.2045 0.2443 0.6255
F2 F 0.2153 0.2346 0.1245
F3 F 0.2569 0.7431 0.5000
F4 F 0.6918 0.3082 0.0000
F5 F 0.6953 0.3006 0.7576
F6 F 0.6994 0.3047 0.2424
F7 F 0.7557 0.7955 0.3745
F8 F 0.7654 0.7847 0.8755
```

Calculated values
ΔH_f (0 K) = -2.341 eV per atom
Symmetry = C2, No. 5


- What is the formula in the eighth record?
  MnOF